(1)
Density functional theory data (GGA+U) for a geometry-optimized Ca3Co2Si4O14 structure.

Cell and atoms, written as CIF:
```
data_Ca3Co2Si4O14
_chemical_formula_sum 'Ca6 Co4 Si8 O28'
_symmetry_space_group_name_H-M 'P 1'
_symmetry_Int_Tables_number 1
_symmetry_space_group_name_Hall 'P 1'
_cell_length_a 9.3501
_cell_length_b 9.3501
_cell_length_c 10.1063
_cell_angle_alpha 119.68
_cell_angle_beta 119.68
_cell_angle_gamma 48.69
loop_
_atom_site_label
_atom_site_type_symbol
_atom_site_fract_x
_atom_site_fract_y
_atom_site_fract_z
Ca1 Ca 0.1530 0.8470 0.7500
Ca2 Ca 0.2711 0.3376 0.5410
Ca3 Ca 0.3376 0.2711 0.0410
Ca4 Ca 0.6624 0.7289 0.9590
Ca5 Ca 0.7289 0.6624 0.4590
Ca6 Ca 0.8470 0.1530 0.2500
Co1 Co 0.2862 0.7138 0.2500
Co2 Co 0.5000 0.5000 0.0000
Co3 Co 0.5000 0.5000 0.5000
Co4 Co 0.7138 0.2862 0.7500
Si1 Si 0.0351 0.6118 0.8426
Si2 Si 0.0357 0.7123 0.3541
Si3 Si 0.2877 0.9643 0.1459
Si4 Si 0.3882 0.9649 0.6574
Si5 Si 0.6118 0.0351 0.3426
Si6 Si 0.7123 0.0357 0.8541
Si7 Si 0.9643 0.2877 0.6459
Si8 Si 0.9649 0.3882 0.1574
O1 O 0.0094 0.5496 0.1840
O2 O 0.0302 0.6064 0.6785
O3 O 0.0481 0.8486 0.3095
O4 O 0.1514 0.9519 0.1905
O5 O 0.1569 0.1733 0.0927
O6 O 0.1733 0.1569 0.5927
O7 O 0.2061 0.6221 0.5044
O8 O 0.2369 0.5565 0.9829
O9 O 0.3779 0.7939 0.9956
O10 O 0.3936 0.9698 0.8215
O11 O 0.3962 0.4760 0.2834
O12 O 0.4435 0.7631 0.5171
O13 O 0.4504 0.9906 0.3160
O14 O 0.4760 0.3962 0.7834
O15 O 0.5240 0.6038 0.2166
O16 O 0.5496 0.0094 0.6840
O17 O 0.5565 0.2369 0.4829
O18 O 0.6038 0.5240 0.7166
O19 O 0.6064 0.0302 0.1785
O20 O 0.6221 0.2061 0.0044
O21 O 0.7631 0.4435 0.0171
O22 O 0.7939 0.3779 0.4956
O23 O 0.8267 0.8431 0.4073
O24 O 0.8431 0.8267 0.9073
O25 O 0.8486 0.0481 0.8095
O26 O 0.9519 0.1514 0.6905
O27 O 0.9698 0.3936 0.3215
O28 O 0.9906 0.4504 0.8160
```

Values from the calculation:
For the total DFT energy (no corrections), the calculation gives -0.52830 Ry per atom.



(2)
Density functional theory data (GGA+U) for a geometry-optimized CaCoSi2O7 structure.

Cell and atoms, written as CIF:
```
data_CaCoSi2O7
_chemical_formula_sum 'Ca2 Co2 Si4 O14'
_symmetry_space_group_name_H-M 'P 1'
_symmetry_Int_Tables_number 1
_symmetry_space_group_name_Hall 'P 1'
_cell_length_a 7.9443
_cell_length_b 7.9443
_cell_length_c 5.1935
_cell_angle_alpha 90.00
_cell_angle_beta 90.00
_cell_angle_gamma 90.28
loop_
_atom_site_label
_atom_site_type_symbol
_atom_site_fract_x
_atom_site_fract_y
_atom_site_fract_z
Ca1 Ca 0.1607 0.8393 0.0000
Ca2 Ca 0.8393 0.1607 0.0000
Co1 Co 0.0000 0.5000 0.5278
Co2 Co 0.5000 0.0000 0.5278
Si1 Si 0.1361 0.1361 0.4709
Si2 Si 0.3579 0.6421 0.5741
Si3 Si 0.6421 0.3579 0.5741
Si4 Si 0.8639 0.8639 0.4709
O1 O 0.0000 0.0000 0.3269
O2 O 0.0791 0.3173 0.3510
O3 O 0.1140 0.1140 0.7807
O4 O 0.1779 0.5912 0.7176
O5 O 0.3173 0.0791 0.3510
O6 O 0.3179 0.6821 0.2766
O7 O 0.4088 0.8221 0.7176
O8 O 0.5000 0.5000 0.6280
O9 O 0.5912 0.1779 0.7176
O10 O 0.6821 0.3179 0.2766
O11 O 0.6827 0.9209 0.3510
O12 O 0.8221 0.4088 0.7176
O13 O 0.8860 0.8860 0.7807
O14 O 0.9209 0.6827 0.3510
```

Values from the calculation:
For the total DFT energy (no corrections), the calculation gives -0.51077 Ry per atom.



(3)
Density functional theory data (GGA+U) for a geometry-optimized CaCoSi2O7 structure.

Cell and atoms, written as CIF:
```
data_CaCoSi2O7
_chemical_formula_sum 'Ca2 Co2 Si4 O14'
_symmetry_space_group_name_H-M 'P 1'
_symmetry_Int_Tables_number 1
_symmetry_space_group_name_Hall 'P 1'
_cell_length_a 7.9225
_cell_length_b 5.2710
_cell_length_c 7.9720
_cell_angle_alpha 90.00
_cell_angle_beta 90.70
_cell_angle_gamma 90.00
loop_
_atom_site_label
_atom_site_type_symbol
_atom_site_fract_x
_atom_site_fract_y
_atom_site_fract_z
Ca1 Ca 0.1653 0.0000 0.3261
Ca2 Ca 0.8347 0.0000 0.6739
Co1 Co 0.0000 0.5341 0.0000
Co2 Co 0.5000 0.5239 0.5000
Si1 Si 0.1320 0.4540 0.6345
Si2 Si 0.3582 0.5687 0.1415
Si3 Si 0.6418 0.5687 0.8585
Si4 Si 0.8680 0.4540 0.3655
O1 O 0.0000 0.3003 0.5000
O2 O 0.0733 0.3499 0.8161
O3 O 0.1011 0.7611 0.5998
O4 O 0.1811 0.7214 0.0898
O5 O 0.3186 0.3528 0.5832
O6 O 0.3236 0.2773 0.1887
O7 O 0.4117 0.7134 0.3224
O8 O 0.5000 0.6163 0.0000
O9 O 0.5883 0.7134 0.6776
O10 O 0.6764 0.2773 0.8113
O11 O 0.6814 0.3528 0.4168
O12 O 0.8189 0.7214 0.9102
O13 O 0.8989 0.7611 0.4002
O14 O 0.9267 0.3499 0.1839
```

Values from the calculation:
For the total DFT energy (no corrections), the calculation gives -0.51116 Ry per atom.



(4)
Density functional theory data (GGA+U) for a geometry-optimized CaCoSi2O6 structure.

Cell and atoms, written as CIF:
```
data_CaCoSi2O6
_chemical_formula_sum 'Ca2 Co2 Si4 O12'
_symmetry_space_group_name_H-M 'P 1'
_symmetry_Int_Tables_number 1
_symmetry_space_group_name_Hall 'P 1'
_cell_length_a 6.7133
_cell_length_b 6.7133
_cell_length_c 5.3204
_cell_angle_alpha 101.60
_cell_angle_beta 101.60
_cell_angle_gamma 84.63
loop_
_atom_site_label
_atom_site_type_symbol
_atom_site_fract_x
_atom_site_fract_y
_atom_site_fract_z
Ca1 Ca 0.2034 0.7966 0.7500
Ca2 Ca 0.7966 0.2034 0.2500
Co1 Co 0.4062 0.5938 0.2500
Co2 Co 0.5938 0.4062 0.7500
Si1 Si 0.1204 0.3054 0.7689
Si2 Si 0.3054 0.1204 0.2689
Si3 Si 0.6946 0.8796 0.7311
Si4 Si 0.8796 0.6946 0.2311
O1 O 0.1105 0.6138 0.3231
O2 O 0.1316 0.1685 0.0045
O3 O 0.1685 0.1316 0.5045
O4 O 0.2939 0.4716 0.8536
O5 O 0.3862 0.8895 0.1769
O6 O 0.4716 0.2939 0.3536
O7 O 0.5284 0.7061 0.6464
O8 O 0.6138 0.1105 0.8231
O9 O 0.7061 0.5284 0.1464
O10 O 0.8315 0.8684 0.4955
O11 O 0.8684 0.8315 0.9955
O12 O 0.8895 0.3862 0.6769
```

Values from the calculation:
For the total DFT energy (no corrections), the calculation gives -0.53958 Ry per atom.



(5)
Density functional theory data (GGA+U) for a geometry-optimized CaCoSi2O6 structure.

Cell and atoms, written as CIF:
```
data_CaCoSi2O6
_chemical_formula_sum 'Ca8 Co8 Si16 O48'
_symmetry_space_group_name_H-M 'P 1'
_symmetry_Int_Tables_number 1
_symmetry_space_group_name_Hall 'P 1'
_cell_length_a 5.4284
_cell_length_b 18.9891
_cell_length_c 9.7724
_cell_angle_alpha 90.00
_cell_angle_beta 90.00
_cell_angle_gamma 90.00
loop_
_atom_site_label
_atom_site_type_symbol
_atom_site_fract_x
_atom_site_fract_y
_atom_site_fract_z
Ca1 Ca 0.1119 0.1214 0.1460
Ca2 Ca 0.1119 0.3786 0.6460
Ca3 Ca 0.3881 0.6214 0.1460
Ca4 Ca 0.3881 0.8786 0.6460
Ca5 Ca 0.6119 0.1214 0.3540
Ca6 Ca 0.6119 0.3786 0.8540
Ca7 Ca 0.8881 0.6214 0.3540
Ca8 Ca 0.8881 0.8786 0.8540
Co1 Co 0.1155 0.1281 0.5067
Co2 Co 0.1155 0.3719 0.0067
Co3 Co 0.3845 0.6281 0.5067
Co4 Co 0.3845 0.8719 0.0067
Co5 Co 0.6155 0.1281 0.9933
Co6 Co 0.6155 0.3719 0.4933
Co7 Co 0.8845 0.6281 0.9933
Co8 Co 0.8845 0.8719 0.4933
Si1 Si 0.0624 0.7253 0.6652
Si2 Si 0.0624 0.7747 0.1652
Si3 Si 0.2490 0.0258 0.8323
Si4 Si 0.2490 0.4742 0.3323
Si5 Si 0.2510 0.5258 0.8323
Si6 Si 0.2510 0.9742 0.3323
Si7 Si 0.4376 0.2253 0.6652
Si8 Si 0.4376 0.2747 0.1652
Si9 Si 0.5624 0.7253 0.8348
Si10 Si 0.5624 0.7747 0.3348
Si11 Si 0.7490 0.0258 0.6677
Si12 Si 0.7490 0.4742 0.1677
Si13 Si 0.7510 0.5258 0.6677
Si14 Si 0.7510 0.9742 0.1677
Si15 Si 0.9376 0.2253 0.8348
Si16 Si 0.9376 0.2747 0.3348
O1 O 0.0409 0.5460 0.7122
O2 O 0.0409 0.9540 0.2122
O3 O 0.0419 0.6889 0.1550
O4 O 0.0419 0.8111 0.6550
O5 O 0.0825 0.6854 0.5185
O6 O 0.0825 0.8146 0.0185
O7 O 0.1751 0.1992 0.7406
O8 O 0.1751 0.3008 0.2406
O9 O 0.1790 0.5704 0.9675
O10 O 0.1790 0.9296 0.4675
O11 O 0.2473 0.0602 0.3493
O12 O 0.2473 0.4398 0.8493
O13 O 0.2527 0.5602 0.3493
O14 O 0.2527 0.9398 0.8493
O15 O 0.3210 0.0704 0.9675
O16 O 0.3210 0.4296 0.4675
O17 O 0.3249 0.6992 0.7406
O18 O 0.3249 0.8008 0.2406
O19 O 0.4175 0.1854 0.5185
O20 O 0.4175 0.3146 0.0185
O21 O 0.4581 0.1889 0.1550
O22 O 0.4581 0.3111 0.6550
O23 O 0.4591 0.0460 0.7122
O24 O 0.4591 0.4540 0.2122
O25 O 0.5409 0.5460 0.7878
O26 O 0.5409 0.9540 0.2878
O27 O 0.5419 0.6889 0.3450
O28 O 0.5419 0.8111 0.8450
O29 O 0.5825 0.6854 0.9815
O30 O 0.5825 0.8146 0.4815
O31 O 0.6751 0.1992 0.7594
O32 O 0.6751 0.3008 0.2594
O33 O 0.6790 0.5704 0.5325
O34 O 0.6790 0.9296 0.0325
O35 O 0.7473 0.0602 0.1507
O36 O 0.7473 0.4398 0.6507
O37 O 0.7527 0.5602 0.1507
O38 O 0.7527 0.9398 0.6507
O39 O 0.8210 0.0704 0.5325
O40 O 0.8210 0.4296 0.0325
O41 O 0.8249 0.6992 0.7594
O42 O 0.8249 0.8008 0.2594
O43 O 0.9175 0.1854 0.9815
O44 O 0.9175 0.3146 0.4815
O45 O 0.9581 0.1889 0.3450
O46 O 0.9581 0.3111 0.8450
O47 O 0.9591 0.0460 0.7878
O48 O 0.9591 0.4540 0.2878
```

Values from the calculation:
For the total DFT energy (no corrections), the calculation gives -0.53666 Ry per atom.



(6)
Density functional theory data (GGA+U) for a geometry-optimized CaCo2Si4O12 structure.

Cell and atoms, written as CIF:
```
data_CaCo2Si4O12
_chemical_formula_sum 'Ca1 Co2 Si4 O12'
_symmetry_space_group_name_H-M 'P 1'
_symmetry_Int_Tables_number 1
_symmetry_space_group_name_Hall 'P 1'
_cell_length_a 6.5023
_cell_length_b 6.5023
_cell_length_c 5.2748
_cell_angle_alpha 102.50
_cell_angle_beta 102.50
_cell_angle_gamma 84.45
loop_
_atom_site_label
_atom_site_type_symbol
_atom_site_fract_x
_atom_site_fract_y
_atom_site_fract_z
Ca1 Ca 0.0000 0.0000 0.0000
Co1 Co 0.5868 0.4132 0.0000
Co2 Co 0.7879 0.2121 0.5000
Si1 Si 0.0780 0.5000 0.9756
Si2 Si 0.3180 0.1034 0.5252
Si3 Si 0.5000 0.9220 0.0244
Si4 Si 0.8966 0.6820 0.4748
O1 O 0.0252 0.6740 0.2358
O2 O 0.0596 0.6470 0.7531
O3 O 0.0770 0.1948 0.4351
O4 O 0.3104 0.3943 0.0487
O5 O 0.3260 0.9748 0.7642
O6 O 0.3530 0.9404 0.2469
O7 O 0.5163 0.2606 0.6166
O8 O 0.6057 0.6896 0.9513
O9 O 0.6749 0.1051 0.1274
O10 O 0.7394 0.4837 0.3834
O11 O 0.8052 0.9230 0.5649
O12 O 0.8949 0.3251 0.8726
```

Values from the calculation:
For the total DFT energy (no corrections), the calculation gives -0.52808 Ry per atom.



(7)
Density functional theory data (GGA+U) for a geometry-optimized Ca3Co2Si4O14 structure.

Cell and atoms, written as CIF:
```
data_Ca3Co2Si4O14
_chemical_formula_sum 'Ca3 Co2 Si4 O14'
_symmetry_space_group_name_H-M 'P 1'
_symmetry_Int_Tables_number 1
_symmetry_space_group_name_Hall 'P 1'
_cell_length_a 7.8345
_cell_length_b 7.8345
_cell_length_c 5.1222
_cell_angle_alpha 92.34
_cell_angle_beta 92.34
_cell_angle_gamma 89.67
loop_
_atom_site_label
_atom_site_type_symbol
_atom_site_fract_x
_atom_site_fract_y
_atom_site_fract_z
Ca1 Ca 0.0000 0.0000 0.0000
Ca2 Ca 0.1923 0.5217 0.0260
Ca3 Ca 0.5217 0.1923 0.0260
Co1 Co 0.3554 0.8502 0.5203
Co2 Co 0.8502 0.3554 0.5203
Si1 Si 0.2070 0.2070 0.5704
Si2 Si 0.4847 0.4847 0.5726
Si3 Si 0.7132 0.9959 0.4675
Si4 Si 0.9959 0.7132 0.4675
O1 O 0.0268 0.7218 0.7782
O2 O 0.0335 0.2691 0.7244
O3 O 0.1671 0.7706 0.3065
O4 O 0.1950 0.1950 0.2588
O5 O 0.2691 0.0335 0.7244
O6 O 0.3485 0.3485 0.7063
O7 O 0.4204 0.6659 0.7093
O8 O 0.4629 0.4629 0.2598
O9 O 0.5211 0.9554 0.3339
O10 O 0.6659 0.4204 0.7093
O11 O 0.7218 0.0268 0.7782
O12 O 0.7706 0.1671 0.3065
O13 O 0.8507 0.8507 0.3591
O14 O 0.9554 0.5211 0.3339
```

Values from the calculation:
For the total DFT energy (no corrections), the calculation gives -0.52637 Ry per atom.



(8)
Density functional theory data (GGA+U) for a geometry-optimized Ca5Co3Si4O16 structure.

Cell and atoms, written as CIF:
```
data_Ca5Co3Si4O16
_chemical_formula_sum 'Ca5 Co3 Si4 O16'
_symmetry_space_group_name_H-M 'P 1'
_symmetry_Int_Tables_number 1
_symmetry_space_group_name_Hall 'P 1'
_cell_length_a 4.9416
_cell_length_b 6.5380
_cell_length_c 11.2697
_cell_angle_alpha 88.43
_cell_angle_beta 89.26
_cell_angle_gamma 88.98
loop_
_atom_site_label
_atom_site_type_symbol
_atom_site_fract_x
_atom_site_fract_y
_atom_site_fract_z
Ca1 Ca 0.0000 0.0000 0.0000
Ca2 Ca 0.0191 0.7465 0.7201
Ca3 Ca 0.4794 0.7467 0.2260
Ca4 Ca 0.5206 0.2533 0.7740
Ca5 Ca 0.9809 0.2535 0.2799
Co1 Co 0.0000 0.5000 0.0000
Co2 Co 0.5000 0.0000 0.5000
Co3 Co 0.5000 0.5000 0.5000
Si1 Si 0.0891 0.2511 0.5822
Si2 Si 0.4188 0.2661 0.0877
Si3 Si 0.5812 0.7339 0.9123
Si4 Si 0.9109 0.7489 0.4178
O1 O 0.2193 0.4507 0.6470
O2 O 0.2224 0.0457 0.6501
O3 O 0.2442 0.7466 0.4211
O4 O 0.2464 0.2517 0.4497
O5 O 0.2507 0.7330 0.9135
O6 O 0.2668 0.4619 0.1525
O7 O 0.2824 0.2692 0.9525
O8 O 0.2984 0.0582 0.1566
O9 O 0.7016 0.9418 0.8434
O10 O 0.7176 0.7308 0.0475
O11 O 0.7332 0.5381 0.8475
O12 O 0.7493 0.2670 0.0865
O13 O 0.7536 0.7483 0.5503
O14 O 0.7558 0.2534 0.5789
O15 O 0.7776 0.9543 0.3499
O16 O 0.7807 0.5493 0.3530
```

Values from the calculation:
For the total DFT energy (no corrections), the calculation gives -0.52526 Ry per atom.



(9)
Density functional theory data (GGA+U) for a geometry-optimized Ca8Zn3CoSi8O28 structure.

Cell and atoms, written as CIF:
```
data_Ca8Zn3CoSi8O28
_chemical_formula_sum 'Ca8 Zn3 Co1 Si8 O28'
_symmetry_space_group_name_H-M 'P 1'
_symmetry_Int_Tables_number 1
_symmetry_space_group_name_Hall 'P 1'
_cell_length_a 11.2009
_cell_length_b 11.2009
_cell_length_c 5.0440
_cell_angle_alpha 90.00
_cell_angle_beta 90.00
_cell_angle_gamma 90.00
loop_
_atom_site_label
_atom_site_type_symbol
_atom_site_fract_x
_atom_site_fract_y
_atom_site_fract_z
Ca1 Ca 0.0816 0.7501 0.4935
Ca2 Ca 0.2499 0.0816 0.5065
Ca3 Ca 0.2501 0.4185 0.5064
Ca4 Ca 0.4185 0.7499 0.4936
Ca5 Ca 0.5815 0.2501 0.4936
Ca6 Ca 0.7499 0.5815 0.5064
Ca7 Ca 0.7501 0.9184 0.5065
Ca8 Ca 0.9184 0.2499 0.4935
Zn1 Zn 0.0000 0.5000 0.9998
Zn2 Zn 0.5000 0.0000 0.0002
Zn3 Zn 0.5000 0.5000 0.0000
Co1 Co 0.0000 0.0000 0.0000
Si1 Si 0.1096 0.2501 0.0632
Si2 Si 0.2500 0.6095 0.9374
Si3 Si 0.2501 0.8904 0.9368
Si4 Si 0.3905 0.2500 0.0626
Si5 Si 0.6095 0.7500 0.0626
Si6 Si 0.7499 0.1096 0.9368
Si7 Si 0.7500 0.3905 0.9374
Si8 Si 0.8904 0.7499 0.0632
O1 O 0.0513 0.1350 0.2188
O2 O 0.0514 0.3654 0.2185
O3 O 0.1091 0.2497 0.7435
O4 O 0.1348 0.5512 0.7818
O5 O 0.1350 0.9487 0.7812
O6 O 0.2501 0.2501 0.1819
O7 O 0.2500 0.6093 0.2569
O8 O 0.2501 0.7499 0.8181
O9 O 0.2497 0.8909 0.2565
O10 O 0.3652 0.5512 0.7817
O11 O 0.3654 0.9486 0.7815
O12 O 0.3907 0.2500 0.7431
O13 O 0.4488 0.1348 0.2182
O14 O 0.4488 0.3652 0.2183
O15 O 0.5512 0.6348 0.2183
O16 O 0.5512 0.8652 0.2182
O17 O 0.6093 0.7500 0.7431
O18 O 0.6346 0.0514 0.7815
O19 O 0.6348 0.4488 0.7817
O20 O 0.7503 0.1091 0.2565
O21 O 0.7499 0.2501 0.8181
O22 O 0.7500 0.3907 0.2569
O23 O 0.7499 0.7499 0.1819
O24 O 0.8650 0.0513 0.7812
O25 O 0.8652 0.4488 0.7818
O26 O 0.8909 0.7503 0.7435
O27 O 0.9486 0.6346 0.2185
O28 O 0.9487 0.8650 0.2188
```

Values from the calculation:
For the total DFT energy (no corrections), the calculation gives -0.51822 Ry per atom.